1.
An optimized crystal structure of SnI2, computed with PBE.

Cell lengths 7.751, 7.751, 11.166 Å; angles 88.27, 88.27, 33.84 degrees
Atoms (fractional coordinates):
I1 0.915 0.915 0.735
I2 0.357 0.357 0.440
I3 0.643 0.643 0.560
I4 0.085 0.085 0.265
I5 0.358 0.358 0.081
I6 0.642 0.642 0.919
Sn1 0.000 0.000 0.000
Sn2 0.732 0.732 0.311
Sn3 0.268 0.268 0.689

## Properties
* calculated formation energy: -744.7 meV per atom
* density: 4.97 g/cm3
* symmetry: C2/m

---

2.
An optimized crystal structure of HgBi3, computed with PBE.

Cell lengths 4.956, 4.956, 4.956 Å; angles 90.00, 90.00, 90.00 degrees
Atoms (fractional coordinates):
Bi1 0.500 0.000 0.500
Bi2 0.500 0.500 0.000
Bi3 0.000 0.500 0.500
Hg1 0.000 0.000 0.000

## Properties
* calculated formation energy: 125.8 meV per atom
* density: 11.29 g/cm3
* ΔE to the lowest computed polymorph: 0.020 eV/atom
* symmetry: Pm-3m

---

3.
An optimized crystal structure of AsSeI, computed with PBE.

Cell lengths 4.015, 9.581, 13.799 Å; angles 48.61, 90.00, 90.00 degrees
Atoms (fractional coordinates):
As1 0.117 0.510 0.135
As2 0.617 0.490 0.365
As3 0.883 0.490 0.865
As4 0.383 0.510 0.635
Se1 0.572 0.303 0.303
Se2 0.928 0.303 0.803
Se3 0.428 0.697 0.697
Se4 0.072 0.697 0.197
I1 0.049 0.221 0.573
I2 0.549 0.779 0.927
I3 0.951 0.779 0.427
I4 0.451 0.221 0.073

## Properties
* calculated formation energy: -297.6 meV per atom
* density: 4.68 g/cm3
* symmetry: P2_1/c

---

4.
An optimized crystal structure of U6Fe, computed with PBE.

Cell lengths 7.637, 7.637, 7.637 Å; angles 96.79, 96.79, 139.77 degrees
Atoms (fractional coordinates):
Fe1 0.250 0.250 0.000
Fe2 0.750 0.750 0.000
U1 0.282 0.399 0.682
U2 0.906 0.406 0.312
U3 0.399 0.718 0.117
U4 0.782 0.101 0.883
U5 0.094 0.594 0.688
U6 0.601 0.282 0.883
U7 0.218 0.899 0.117
U8 0.406 0.094 0.500
U9 0.718 0.601 0.318
U10 0.594 0.906 0.500
U11 0.899 0.782 0.682
U12 0.101 0.218 0.318

## Properties
* calculated formation energy: -5.5 meV per atom
* density: 18.24 g/cm3
* symmetry: I4/mcm

---

5.
An optimized crystal structure of La4As2S5O4, computed with PBE.

Cell lengths 4.220, 8.315, 9.695 Å; angles 101.99, 102.11, 91.93 degrees
Atoms (fractional coordinates):
As1 0.760 0.792 0.000
As2 0.490 0.360 0.000
S1 0.954 0.532 0.000
S2 0.441 0.171 0.789
S3 0.376 0.708 0.790
S4 0.585 0.813 0.210
S5 0.652 0.278 0.211
O1 0.754 0.622 0.499
O2 0.255 0.872 0.496
O3 0.256 0.376 0.504
O4 0.757 0.126 0.501
La1 0.814 0.406 0.632
La2 0.184 0.589 0.370
La3 0.819 0.905 0.627
La4 0.191 0.092 0.372

## Properties
* calculated formation energy: -2481.0 meV per atom
* density: 4.76 g/cm3
* symmetry: P1

---

6.
An optimized crystal structure of Cu3H2O2F4, computed with PBE.

Cell lengths 4.850, 5.607, 9.881 Å; angles 58.93, 90.00, 90.00 degrees
Atoms (fractional coordinates):
F1 0.214 0.958 0.179
F2 0.142 0.326 0.350
F3 0.358 0.326 0.850
F4 0.642 0.674 0.150
F5 0.286 0.958 0.679
F6 0.858 0.674 0.650
F7 0.786 0.042 0.821
F8 0.714 0.042 0.321
H1 0.133 0.673 0.537
H2 0.867 0.327 0.463
H3 0.633 0.327 0.963
H4 0.367 0.673 0.037
Cu1 0.500 0.000 0.500
Cu2 0.000 0.000 0.000
Cu3 0.961 0.337 0.174
Cu4 0.539 0.337 0.674
Cu5 0.461 0.663 0.326
Cu6 0.039 0.663 0.826
O1 0.669 0.324 0.489
O2 0.169 0.676 0.011
O3 0.331 0.676 0.511
O4 0.831 0.324 0.989

## Properties
* calculated formation energy: -1530.3 meV per atom
* density: 4.34 g/cm3
* symmetry: P2_1/c

---

7.
An optimized crystal structure of ZrUB24, computed with PBE.

Cell lengths 9.074, 9.074, 9.074 Å; angles 33.72, 33.72, 33.72 degrees
Atoms (fractional coordinates):
B1 0.580 0.920 0.580
B2 0.920 0.920 0.580
B3 0.088 0.411 0.751
B4 0.589 0.249 0.912
B5 0.080 0.420 0.420
B6 0.580 0.580 0.920
B7 0.920 0.580 0.580
B8 0.411 0.088 0.751
B9 0.080 0.420 0.080
B10 0.912 0.589 0.249
B11 0.589 0.912 0.249
B12 0.580 0.920 0.920
B13 0.420 0.420 0.080
B14 0.420 0.080 0.420
B15 0.088 0.751 0.411
B16 0.411 0.751 0.088
B17 0.249 0.589 0.912
B18 0.751 0.088 0.411
B19 0.080 0.080 0.420
B20 0.920 0.580 0.920
B21 0.249 0.912 0.589
B22 0.420 0.080 0.080
B23 0.751 0.411 0.088
B24 0.912 0.249 0.589
U1 0.000 0.000 0.000
Zr1 0.500 0.500 0.500

## Properties
* calculated formation energy: -236.6 meV per atom
* density: 4.77 g/cm3
* symmetry: R-3m

---

8.
An optimized crystal structure of Na6CaGe7P12O48, computed with PBE.

Cell lengths 17.025, 8.504, 21.862 Å; angles 90.05, 89.93, 119.96 degrees
Atoms (fractional coordinates):
P1 0.497 0.284 0.250
P2 0.640 0.287 0.754
P3 0.006 0.287 0.254
P4 0.636 0.987 0.254
P5 0.310 0.956 0.416
P6 0.857 0.986 0.753
P7 0.022 0.665 0.415
P8 0.831 0.632 0.580
P9 0.683 0.333 0.082
P10 0.856 0.728 0.253
P11 0.332 0.633 0.580
P12 0.140 0.287 0.754
P13 0.184 0.031 0.582
P14 0.502 0.721 0.754
P15 0.521 0.378 0.917
P16 0.832 0.030 0.080
P17 0.521 0.665 0.417
P18 0.667 0.956 0.917
P19 0.985 0.634 0.082
P20 0.334 0.047 0.084
P21 0.811 0.664 0.917
P22 0.311 0.666 0.918
P23 0.190 0.335 0.083
P24 0.022 0.379 0.918
P25 0.485 0.336 0.581
P26 0.985 0.336 0.581
P27 0.667 0.377 0.415
P28 0.812 0.958 0.417
P29 0.357 0.714 0.250
P30 0.168 0.378 0.417
P31 0.357 0.986 0.753
P32 0.168 0.957 0.917
P33 0.476 0.620 0.083
P34 0.684 0.031 0.582
P35 0.146 0.004 0.250
P36 0.002 0.721 0.754
O1 0.269 0.835 0.472
O2 0.262 0.697 0.257
O3 0.920 0.541 0.026
O4 0.561 0.494 0.858
O5 0.413 0.306 0.242
O6 0.917 0.023 0.810
O7 0.083 0.703 0.471
O8 0.022 0.839 0.695
O9 0.253 0.359 0.424
O10 0.414 0.791 0.308
O11 0.643 0.812 0.259
O12 0.821 0.493 0.925
O13 0.485 0.809 0.091
O14 0.761 0.813 0.758
O15 0.898 0.958 0.694
O16 0.398 0.958 0.694
O17 0.096 0.165 0.091
O18 0.251 0.627 0.860
O19 0.647 0.831 0.973
O20 0.012 0.188 0.911
O21 0.082 0.958 0.193
O22 0.920 0.821 0.586
O23 0.249 0.857 0.076
O24 0.571 0.641 0.075
O25 0.731 0.377 0.142
O26 0.957 0.537 0.142
O27 0.752 0.359 0.423
O28 0.918 0.298 0.527
O29 0.232 0.305 0.753
O30 0.991 0.160 0.586
O31 0.261 0.813 0.759
O32 0.314 0.130 0.141
O33 0.990 0.809 0.812
O34 0.420 0.821 0.586
O35 0.906 0.836 0.911
O36 0.923 0.531 0.754
O37 0.749 0.657 0.568
O38 0.748 0.840 0.069
O39 0.685 0.876 0.858
O40 0.458 0.378 0.643
O41 0.649 0.463 0.471
O42 0.187 0.496 0.359
O43 0.153 0.829 0.257
O44 0.405 0.973 0.409
O45 0.685 0.494 0.356
O46 0.397 0.833 0.192
O47 0.151 0.835 0.972
O48 0.240 0.175 0.242
O49 0.591 0.025 0.309
O50 0.809 0.084 0.139
O51 0.080 0.207 0.695
O52 0.013 0.838 0.409
O53 0.269 0.705 0.975
O54 0.581 0.975 0.911
O55 0.186 0.878 0.857
O56 0.095 0.167 0.811
O57 0.732 0.305 0.753
O58 0.920 0.813 0.309
O59 0.844 0.150 0.752
O60 0.021 0.206 0.194
O61 0.085 0.464 0.973
O62 0.580 0.207 0.695
O63 0.595 0.168 0.811
O64 0.768 0.702 0.972
O65 0.079 0.502 0.569
O66 0.585 0.473 0.257
O67 0.417 0.023 0.810
O68 0.419 0.028 0.091
O69 0.731 0.084 0.643
O70 0.730 0.164 0.527
O71 0.752 0.626 0.859
O72 0.927 0.495 0.423
O73 0.522 0.839 0.695
O74 0.580 0.188 0.409
O75 0.344 0.150 0.752
O76 0.592 0.708 0.759
O77 0.092 0.708 0.759
O78 0.921 0.020 0.086
O79 0.106 0.038 0.308
O80 0.347 0.522 0.242
O81 0.082 0.188 0.411
O82 0.993 0.825 0.086
O83 0.760 0.706 0.258
O84 0.511 0.836 0.410
O85 0.094 0.481 0.258
O86 0.231 0.295 0.026
O87 0.752 0.877 0.359
O88 0.249 0.658 0.568
O89 0.353 0.166 0.026
O90 0.928 0.362 0.924
O91 0.426 0.492 0.424
O92 0.321 0.147 0.424
O93 0.149 0.462 0.472
O94 0.172 0.843 0.569
O95 0.852 0.542 0.524
O96 0.406 0.837 0.912
O97 0.352 0.542 0.524
O98 0.520 0.205 0.193
O99 0.181 0.506 0.075
O100 0.063 0.631 0.356
O101 0.589 0.020 0.587
O102 0.729 0.155 0.253
O103 0.809 0.534 0.639
O104 0.489 0.809 0.812
O105 0.231 0.083 0.643
O106 0.436 0.500 0.141
O107 0.645 0.476 0.759
O108 0.992 0.170 0.311
O109 0.561 0.626 0.359
O110 0.769 0.835 0.472
O111 0.907 0.976 0.410
O112 0.231 0.164 0.527
O113 0.309 0.534 0.640
O114 0.821 0.148 0.424
O115 0.416 0.539 0.026
O116 0.089 0.020 0.587
O117 0.852 0.160 0.024
O118 0.512 0.188 0.911
O119 0.672 0.842 0.569
O120 0.479 0.167 0.308
O121 0.581 0.958 0.194
O122 0.582 0.464 0.972
O123 0.080 0.653 0.070
O124 0.062 0.495 0.858
O125 0.844 0.538 0.252
O126 0.588 0.155 0.087
O127 0.958 0.378 0.643
O128 0.320 0.494 0.925
O129 0.423 0.531 0.754
O130 0.579 0.502 0.569
O131 0.418 0.297 0.527
O132 0.254 0.147 0.924
O133 0.582 0.704 0.472
O134 0.082 0.976 0.911
O135 0.671 0.499 0.070
O136 0.251 0.875 0.358
O137 0.491 0.159 0.586
O138 0.427 0.361 0.924
O139 0.753 0.145 0.924
O140 0.926 0.317 0.254
O141 0.250 0.373 0.141
O142 0.145 0.476 0.759
O143 0.730 0.296 0.026
O144 0.897 0.837 0.194
Ge1 0.169 0.669 0.019
Ge2 0.999 0.002 0.145
Ge3 0.833 0.334 0.482
Ge4 0.667 0.667 0.516
Ge5 0.004 0.005 0.356
Ge6 0.665 0.664 0.018
Ge7 0.499 0.998 0.643
Ge8 0.500 0.999 0.858
Ge9 0.669 0.666 0.816
Ge10 0.999 0.998 0.643
Ge11 0.000 0.999 0.858
Ge12 0.171 0.666 0.314
Ge13 0.333 0.336 0.186
Ge14 0.500 0.998 0.146
Ge15 0.834 0.333 0.982
Ge16 0.169 0.666 0.816
Ge17 0.495 0.995 0.355
Ge18 0.665 0.672 0.316
Ge19 0.333 0.333 0.981
Ge20 0.167 0.667 0.516
Ge21 0.334 0.334 0.482
Na1 0.833 0.322 0.335
Na2 0.998 0.629 0.248
Na3 0.171 0.665 0.661
Na4 0.188 0.006 0.746
Na5 0.995 0.365 0.746
Na6 0.000 0.000 0.000
Na7 0.500 0.000 0.001
Na8 0.685 0.367 0.248
Na9 0.000 0.000 0.499
Na10 0.833 0.342 0.835
Na11 0.169 0.666 0.165
Na12 0.688 0.006 0.746
Na13 0.669 0.679 0.164
Na14 0.333 0.342 0.834
Na15 0.500 0.000 0.499
Na16 0.495 0.365 0.746
Na17 0.671 0.665 0.661
Na18 0.333 0.334 0.334
Ca1 0.833 0.340 0.681
Ca2 0.833 0.324 0.183
Ca3 0.333 0.340 0.681

## Properties
* calculated formation energy: -2499.0 meV per atom
* density: 3.32 g/cm3
* symmetry: P1